Entry 1:
Compound: Nd8Sb2S15
Source: the Materials Project database
Functional: PBE
Structure: optimized geometry Values from VASP.

```
&SYSTEM
  ibrav = 0, nat = 100, ntyp = 3
/
ATOMIC_SPECIES
Nd 144.24 Nd.upf
Sb 121.76 Sb.upf
S 32.06 S.upf
CELL_PARAMETERS angstrom
-7.872 7.872 9.917
7.872 -7.872 9.917
7.872 7.872 -9.917
ATOMIC_POSITIONS angstrom
Nd 12.477 2.164 -2.307
Nd 8.187 2.373 -2.339
Nd 2.373 -0.315 2.619
Nd 13.371 0.315 2.619
Nd 0.309 2.424 0.000
Nd 10.124 5.518 -3.681
Nd 10.226 2.251 1.277
Nd 5.448 -0.309 4.959
Nd 8.187 -2.373 7.578
Nd 4.605 5.708 -2.307
Nd 10.296 0.309 4.959
Nd 5.708 3.267 2.651
Nd 8.181 5.448 0.000
Nd 2.354 5.621 1.277
Nd 5.708 -3.267 12.569
Nd -2.251 2.354 6.236
Nd 3.267 2.164 7.610
Nd 7.557 2.373 7.578
Nd 5.499 7.557 2.619
Nd 2.373 0.315 12.537
Nd -0.309 2.424 9.917
Nd 5.621 5.518 6.236
Nd 5.518 2.251 11.195
Nd 2.424 7.564 4.959
Nd -0.315 5.499 7.578
Nd -4.605 5.708 7.610
Nd -2.424 8.181 4.959
Nd 2.164 11.139 2.651
Nd 7.564 5.448 9.917
Nd -2.354 5.621 11.195
Nd 2.164 4.605 12.569
Nd 2.251 2.354 16.154
Sb 6.237 4.473 -5.606
Sb 4.473 1.635 -0.647
Sb 4.473 -1.635 9.270
Sb 1.635 3.399 4.312
Sb 9.507 4.473 4.312
Sb 3.399 9.507 -0.647
Sb 3.399 6.237 9.270
Sb -1.635 3.399 14.229
S 5.161 2.532 -2.920
S 3.887 -2.507 3.776
S 7.456 -5.154 7.234
S 7.289 -2.304 3.682
S 8.486 5.484 -6.118
S 0.000 0.000 1.271
S 10.590 -0.416 2.275
S 10.346 -2.624 5.561
S 5.154 0.416 2.275
S 10.379 3.887 -1.183
S 13.120 2.474 0.603
S 7.456 5.154 -2.683
S 7.502 2.710 0.398
S 5.161 -2.532 6.997
S 2.507 3.986 -1.183
S 5.162 7.502 -4.561
S 2.532 2.711 2.038
S 2.710 0.370 5.357
S 7.872 0.000 6.230
S 8.456 2.304 3.682
S -0.614 2.388 3.799
S 7.502 -2.710 10.315
S 11.858 2.507 3.776
S 5.248 5.399 0.603
S 2.304 -0.584 8.641
S 2.388 7.258 -1.160
S 10.404 5.161 2.038
S 5.399 2.624 5.561
S 5.568 8.456 -1.276
S 5.484 0.614 8.758
S 2.711 10.404 -2.920
S 3.986 5.365 3.776
S 0.416 2.718 7.234
S 0.584 5.568 3.682
S 7.258 5.484 3.799
S 0.000 0.000 11.189
S 5.154 -0.416 12.193
S -2.474 5.248 5.561
S 2.718 8.288 2.275
S 2.624 2.474 10.520
S 5.365 3.887 8.734
S 0.370 10.582 0.398
S 2.711 5.341 6.997
S 8.288 5.154 7.234
S -2.507 3.986 8.734
S 2.710 -0.370 15.274
S -2.532 2.711 11.956
S 5.162 8.242 5.357
S 0.000 7.872 6.230
S -0.584 10.176 3.682
S 0.614 2.388 13.716
S 0.370 5.162 10.315
S 3.887 2.507 13.693
S -5.248 5.399 10.520
S 5.568 7.289 8.641
S -2.388 7.258 8.758
S 5.341 5.161 11.956
S 2.474 10.496 5.561
S -5.568 8.456 8.641
S 2.388 8.486 8.758
```

Computed properties:
uncorrected energy	-6.036	eV per atom
calculated formation energy	-1999	meV/atom

Entry 2:
Compound: HgSeO3
Source: the Materials Project database
Functional: PBE
Structure: optimized geometry Values from VASP.

```
&SYSTEM
  ibrav = 0, nat = 20, ntyp = 3
/
ATOMIC_SPECIES
Hg 200.59 Hg.upf
Se 78.96 Se.upf
O 16.00 O.upf
CELL_PARAMETERS angstrom
5.038 0.000 0.000
0.000 9.427 0.000
-0.045 0.000 7.230
ATOMIC_POSITIONS angstrom
Hg 1.047 1.636 3.350
Hg 1.024 3.078 6.964
Hg 3.969 6.350 0.265
Hg 3.947 7.792 3.880
Se 1.233 5.270 2.280
Se 1.211 8.871 5.895
Se 3.782 0.556 1.335
Se 3.760 4.157 4.950
O 0.452 0.886 1.251
O 0.430 3.828 4.866
O 1.281 1.164 5.495
O 1.304 3.550 1.880
O 1.542 5.938 0.732
O 1.520 8.203 4.346
O 3.474 1.224 2.883
O 3.452 3.490 6.498
O 3.690 5.878 5.349
O 3.712 8.264 1.734
O 4.564 5.600 2.364
O 4.541 8.541 5.978
```

Computed properties:
uncorrected energy	-4.358	eV per atom
calculated formation energy	-1042	meV/atom